# Na3Zn3P3O16 | Materials Project | PBE | optimized geometry
data_Na3Zn3P3O16
_chemical_formula_sum 'Na18 Zn18 P18 O96'
_cell_length_a 12.8389
_cell_length_b 12.8389
_cell_length_c 15.5768
_cell_angle_alpha 90.00
_cell_angle_beta 90.00
_cell_angle_gamma 120.00
_symmetry_space_group_name_H-M 'R 3 c'
_symmetry_Int_Tables_number 161
_symmetry_space_group_name_Hall 'R 3 -2"c'
loop_
_atom_site_label
_atom_site_type_symbol
_atom_site_fract_x
_atom_site_fract_y
_atom_site_fract_z
Na1 Na 0.2185 0.4448 0.0000
Zn1 Zn 0.0045 0.2454 0.6382
P1 P 0.0811 0.4127 0.8063
O1 O 0.0000 0.0000 0.3273
O2 O 0.0006 0.2760 0.2381
O3 O 0.0082 0.2890 0.7605
O4 O 0.0369 0.4971 0.7707
O5 O 0.0520 0.1069 0.9162
O6 O 0.1935 0.0777 0.1258
# - DFT formation energy: -1.859 eV/atom
# - Total magnetic moment: 30.7 μB per cell